[1]
# Li3Fe3O8

A geometry-optimized Li3Fe3O8 structure (PBE with a Hubbard U, the Materials Project database).

The structure in CIF format:
```
data_Li3Fe3O8
_chemical_formula_sum 'Li12 Fe12 O32'
_symmetry_space_group_name_H-M 'C 1 c 1'
_symmetry_Int_Tables_number 9
_cell_length_a 5.832
_cell_length_b 10.178
_cell_length_c 9.866
_cell_angle_alpha 90.00
_cell_angle_beta 90.57
_cell_angle_gamma 90.00
loop_
_symmetry_equiv_pos_as_xyz
'x,y,z'
'x,-y,z+1/2'
'x+1/2,y+1/2,z'
'x+1/2,-y+1/2,z+1/2'
loop_
_atom_site_label
_atom_site_type_symbol
_atom_site_fract_x
_atom_site_fract_y
_atom_site_fract_z
Li1 Li 0.000 0.000 0.000
Li2 Li 0.004 0.334 0.497
Li3 Li 0.014 0.334 0.884
Fe1 Fe 0.007 0.168 0.214
Fe2 Fe 0.253 0.415 0.213
Fe3 Fe 0.259 0.084 0.714
O1 O 0.003 0.154 0.610
O2 O 0.011 0.483 0.320
O3 O 0.024 0.339 0.098
O4 O 0.236 0.077 0.113
O5 O 0.236 0.260 0.320
O6 O 0.271 0.424 0.611
O7 O 0.285 0.241 0.818
O8 O 0.490 0.494 0.319
```

[2]
# Nd2NiO4

A geometry-optimized Nd2NiO4 structure (PBE with a Hubbard U, the Materials Project database).

The structure in CIF format:
```
data_Nd2NiO4
_chemical_formula_sum 'Nd8 Ni4 O16'
_symmetry_space_group_name_H-M 'P 42/n c m'
_symmetry_Int_Tables_number 138
_cell_length_a 5.576
_cell_length_b 5.576
_cell_length_c 12.142
_cell_angle_alpha 90.00
_cell_angle_beta 90.00
_cell_angle_gamma 90.00
loop_
_symmetry_equiv_pos_as_xyz
'x,y,z'
'-x,-y,-z'
'-y+1/2,x,z+1/2'
'y+1/2,-x,-z+1/2'
'-x+1/2,-y+1/2,z'
'x+1/2,y+1/2,-z'
'y,-x+1/2,z+1/2'
'-y,x+1/2,-z+1/2'
'x+1/2,-y,-z+1/2'
'-x+1/2,y,z+1/2'
'-y,-x,-z'
'y,x,z'
'-x,y+1/2,-z+1/2'
'x,-y+1/2,z+1/2'
'y+1/2,x+1/2,-z'
'-y+1/2,-x+1/2,z'
loop_
_atom_site_label
_atom_site_type_symbol
_atom_site_fract_x
_atom_site_fract_y
_atom_site_fract_z
Nd1 Nd 0.017 0.017 0.137
Ni1 Ni 0.000 0.000 0.500
O1 O 0.054 0.054 0.680
O2 O 0.250 0.250 0.470
O3 O 0.250 0.750 0.000
```

[3]
# VCdCuO4

A geometry-optimized VCdCuO4 structure (PBE with a Hubbard U, the Materials Project database).

The structure in CIF format:
```
data_VCdCuO4
_chemical_formula_sum 'V4 Cd4 Cu4 O16'
_symmetry_space_group_name_H-M 'C m c m'
_symmetry_Int_Tables_number 63
_symmetry_space_group_name_Hall '-C 2c 2'
_cell_length_a 6.089
_cell_length_b 9.204
_cell_length_c 6.564
_cell_angle_alpha 90.00
_cell_angle_beta 90.00
_cell_angle_gamma 90.00
loop_
_atom_site_label
_atom_site_type_symbol
_atom_site_fract_x
_atom_site_fract_y
_atom_site_fract_z
V1 V 0.000 0.134 0.250
Cd1 Cd 0.000 0.500 0.000
Cu1 Cu 0.000 0.194 0.750
O1 O 0.000 0.241 0.031
O2 O 0.234 0.018 0.250
```

[4]
# Li5Mn3O8

A geometry-optimized Li5Mn3O8 structure (PBE with a Hubbard U, the Materials Project database).

The structure in CIF format:
```
data_Li5Mn3O8
_chemical_formula_sum 'Li5 Mn3 O8'
_symmetry_space_group_name_H-M 'P 1 2/m 1'
_symmetry_Int_Tables_number 10
_cell_length_a 5.204
_cell_length_b 2.904
_cell_length_c 9.886
_cell_angle_alpha 90.00
_cell_angle_beta 100.98
_cell_angle_gamma 90.00
loop_
_symmetry_equiv_pos_as_xyz
'x,y,z'
'-x,-y,-z'
'-x,y,-z'
'x,-y,z'
loop_
_atom_site_label
_atom_site_type_symbol
_atom_site_fract_x
_atom_site_fract_y
_atom_site_fract_z
Li1 Li 0.000 0.000 0.000
Li2 Li 0.226 0.500 0.224
Li3 Li 0.262 0.000 0.769
Mn1 Mn 0.000 0.500 0.500
Mn2 Mn 0.500 0.000 0.500
Mn3 Mn 0.500 0.500 0.000
O1 O 0.120 0.000 0.392
O2 O 0.158 0.500 0.882
O3 O 0.386 0.000 0.110
O4 O 0.406 0.500 0.615
```

[5]
# LiVF4

A geometry-optimized LiVF4 structure (PBE with a Hubbard U, the Materials Project database).

The structure in CIF format:
```
data_LiVF4
_chemical_formula_sum 'Li4 V4 F16'
_symmetry_space_group_name_H-M 'P 1 21/c 1'
_symmetry_Int_Tables_number 14
_cell_length_a 5.290
_cell_length_b 6.312
_cell_length_c 10.538
_cell_angle_alpha 90.00
_cell_angle_beta 109.71
_cell_angle_gamma 90.00
loop_
_symmetry_equiv_pos_as_xyz
'x,y,z'
'-x,-y,-z'
'-x,y+1/2,-z+1/2'
'x,-y+1/2,z+1/2'
loop_
_atom_site_label
_atom_site_type_symbol
_atom_site_fract_x
_atom_site_fract_y
_atom_site_fract_z
Li1 Li 0.106 0.109 0.420
V1 V 0.494 0.647 0.751
F1 F 0.123 0.670 0.660
F2 F 0.151 0.125 0.611
F3 F 0.404 0.110 0.354
F4 F 0.449 0.592 0.355
```

[6]
# MgCo4Te8O20

A geometry-optimized MgCo4Te8O20 structure (PBE with a Hubbard U, the Materials Project database).

The structure in CIF format:
```
data_MgCo4Te8O20
_chemical_formula_sum 'Mg1 Co4 Te8 O20'
_symmetry_space_group_name_H-M 'P 1 2 1'
_symmetry_Int_Tables_number 3
_cell_length_a 6.065
_cell_length_b 11.380
_cell_length_c 7.491
_cell_angle_alpha 90.00
_cell_angle_beta 91.75
_cell_angle_gamma 90.00
loop_
_symmetry_equiv_pos_as_xyz
'x,y,z'
'-x,y,-z'
loop_
_atom_site_label
_atom_site_type_symbol
_atom_site_fract_x
_atom_site_fract_y
_atom_site_fract_z
Mg1 Mg 0.000 0.000 0.000
Co1 Co 0.000 0.321 0.500
Co2 Co 0.000 0.771 0.000
Co3 Co 0.500 0.201 0.500
Co4 Co 0.500 0.673 0.000
Te1 Te 0.241 0.592 0.632
Te2 Te 0.251 0.408 0.138
Te3 Te 0.262 0.885 0.349
Te4 Te 0.320 0.119 0.853
O1 O 0.000 0.173 0.000
O2 O 0.000 0.684 0.500
O3 O 0.025 0.905 0.794
O4 O 0.062 0.457 0.684
O5 O 0.196 0.662 0.856
O6 O 0.228 0.204 0.647
O7 O 0.297 0.317 0.348
O8 O 0.330 0.797 0.143
O9 O 0.419 0.543 0.200
O10 O 0.427 0.046 0.293
O11 O 0.500 0.335 0.000
O12 O 0.500 0.787 0.500
```

[7]
# LiV6O7F5

A geometry-optimized LiV6O7F5 structure (PBE with a Hubbard U, the Materials Project database).

The structure in CIF format:
```
data_LiV6O7F5
_chemical_formula_sum 'Li1 V6 O7 F5'
_symmetry_space_group_name_H-M 'P 1'
_symmetry_Int_Tables_number 1
_cell_length_a 5.697
_cell_length_b 5.718
_cell_length_c 7.504
_cell_angle_alpha 71.14
_cell_angle_beta 71.66
_cell_angle_gamma 72.41
loop_
_symmetry_equiv_pos_as_xyz
'x,y,z'
loop_
_atom_site_label
_atom_site_type_symbol
_atom_site_fract_x
_atom_site_fract_y
_atom_site_fract_z
Li1 Li 0.000 0.000 0.000
V1 V 0.062 0.575 0.915
V2 V 0.074 0.536 0.431
V3 V 0.362 0.884 0.591
V4 V 0.452 0.877 0.123
V5 V 0.702 0.240 0.757
V6 V 0.702 0.251 0.281
O1 O 0.004 0.929 0.773
O2 O 0.285 0.779 0.400
O3 O 0.357 0.246 0.439
O4 O 0.414 0.532 0.767
O5 O 0.651 0.132 0.067
O6 O 0.720 0.592 0.100
O7 O 0.824 0.332 0.469
F1 F 0.109 0.194 0.097
F2 F 0.170 0.676 0.124
F3 F 0.468 0.994 0.812
F4 F 0.756 0.856 0.437
F5 F 0.957 0.453 0.730
```

[8]
# LiFe4B4O12

A geometry-optimized LiFe4B4O12 structure (PBE with a Hubbard U, the Materials Project database).

The structure in CIF format:
```
data_LiFe4B4O12
_chemical_formula_sum 'Li2 Fe8 B8 O24'
_symmetry_space_group_name_H-M 'P 1'
_symmetry_Int_Tables_number 1
_cell_length_a 5.236
_cell_length_b 9.118
_cell_length_c 10.226
_cell_angle_alpha 89.97
_cell_angle_beta 89.64
_cell_angle_gamma 89.22
loop_
_symmetry_equiv_pos_as_xyz
'x,y,z'
loop_
_atom_site_label
_atom_site_type_symbol
_atom_site_fract_x
_atom_site_fract_y
_atom_site_fract_z
Li1 Li 0.000 0.000 0.000
Li2 Li 0.029 0.995 0.503
Fe1 Fe 0.009 0.655 0.958
Fe2 Fe 0.013 0.330 0.457
Fe3 Fe 0.163 0.814 0.212
Fe4 Fe 0.171 0.486 0.705
Fe5 Fe 0.507 0.166 0.957
Fe6 Fe 0.511 0.818 0.459
Fe7 Fe 0.664 0.978 0.714
Fe8 Fe 0.667 0.314 0.211
B1 B 0.005 0.657 0.462
B2 B 0.169 0.485 0.205
B3 B 0.179 0.814 0.703
B4 B 0.506 0.827 0.961
B5 B 0.515 0.149 0.457
B6 B 0.655 0.991 0.206
B7 B 0.677 0.322 0.707
B8 B 0.997 0.319 0.956
O1 O 0.007 0.383 0.265
O2 O 0.027 0.934 0.689
O3 O 0.059 0.608 0.147
O4 O 0.080 0.449 0.900
O5 O 0.093 0.685 0.763
O6 O 0.133 0.529 0.504
O7 O 0.146 0.194 0.957
O8 O 0.148 0.779 0.423
O9 O 0.244 0.827 0.990
O10 O 0.254 0.166 0.464
O11 O 0.423 0.462 0.205
O12 O 0.427 0.815 0.653
O13 O 0.507 0.886 0.269
O14 O 0.516 0.438 0.698
O15 O 0.530 0.121 0.159
O16 O 0.608 0.194 0.771
O17 O 0.616 0.962 0.925
O18 O 0.641 0.022 0.498
O19 O 0.660 0.707 0.966
O20 O 0.669 0.260 0.406
O21 O 0.748 0.664 0.457
O22 O 0.754 0.316 0.013
O23 O 0.908 0.976 0.184
O24 O 0.925 0.328 0.652
```

[9]
# Li4Cr3NiO8

A geometry-optimized Li4Cr3NiO8 structure (PBE with a Hubbard U, the Materials Project database).

The structure in CIF format:
```
data_Li4Cr3NiO8
_chemical_formula_sum 'Li8 Cr6 Ni2 O16'
_symmetry_space_group_name_H-M 'P -1'
_symmetry_Int_Tables_number 2
_cell_length_a 5.881
_cell_length_b 5.917
_cell_length_c 10.199
_cell_angle_alpha 73.23
_cell_angle_beta 73.66
_cell_angle_gamma 60.29
loop_
_symmetry_equiv_pos_as_xyz
'x,y,z'
'-x,-y,-z'
loop_
_atom_site_label
_atom_site_type_symbol
_atom_site_fract_x
_atom_site_fract_y
_atom_site_fract_z
Li1 Li 0.000 0.000 0.000
Li2 Li 0.000 0.500 0.500
Li3 Li 0.248 0.252 0.749
Li4 Li 0.249 0.750 0.245
Li5 Li 0.500 0.000 0.000
Li6 Li 0.500 0.500 0.500
Cr1 Cr 0.000 0.500 0.000
Cr2 Cr 0.248 0.252 0.249
Cr3 Cr 0.253 0.752 0.749
Cr4 Cr 0.500 0.000 0.500
Ni1 Ni 0.000 0.000 0.500
Ni2 Ni 0.500 0.500 0.000
O1 O 0.111 0.141 0.129
O2 O 0.114 0.643 0.631
O3 O 0.128 0.605 0.126
O4 O 0.153 0.107 0.619
O5 O 0.365 0.399 0.880
O6 O 0.376 0.898 0.380
O7 O 0.384 0.355 0.374
O8 O 0.392 0.859 0.869
```

[10]
# KMnO2

A geometry-optimized KMnO2 structure (PBE with a Hubbard U, the Materials Project database).

The structure in CIF format:
```
data_KMnO2
_chemical_formula_sum 'K4 Mn4 O8'
_symmetry_space_group_name_H-M 'C 1 2/m 1'
_symmetry_Int_Tables_number 12
_cell_length_a 12.634
_cell_length_b 3.166
_cell_length_c 7.750
_cell_angle_alpha 90.00
_cell_angle_beta 123.80
_cell_angle_gamma 90.00
loop_
_symmetry_equiv_pos_as_xyz
'x,y,z'
'-x,-y,-z'
'-x,y,-z'
'x,-y,z'
'x+1/2,y+1/2,z'
'-x+1/2,-y+1/2,-z'
'-x+1/2,y+1/2,-z'
'x+1/2,-y+1/2,z'
loop_
_atom_site_label
_atom_site_type_symbol
_atom_site_fract_x
_atom_site_fract_y
_atom_site_fract_z
K1 K 0.172 0.000 0.193
Mn1 Mn 0.030 0.000 0.674
O1 O 0.052 0.500 0.828
O2 O 0.132 0.000 0.570
```

[11]
# Hf3NiO6F6

A geometry-optimized Hf3NiO6F6 structure (PBE with a Hubbard U, the Materials Project database).

The structure in CIF format:
```
data_Hf3NiO6F6
_chemical_formula_sum 'Hf3 Ni1 O6 F6'
_symmetry_space_group_name_H-M 'P -1'
_symmetry_Int_Tables_number 2
_cell_length_a 5.872
_cell_length_b 6.953
_cell_length_c 7.091
_cell_angle_alpha 110.62
_cell_angle_beta 106.30
_cell_angle_gamma 105.88
loop_
_symmetry_equiv_pos_as_xyz
'x,y,z'
'-x,-y,-z'
loop_
_atom_site_label
_atom_site_type_symbol
_atom_site_fract_x
_atom_site_fract_y
_atom_site_fract_z
Hf1 Hf 0.000 0.000 0.000
Hf2 Hf 0.000 0.500 0.500
Hf3 Hf 0.500 0.000 0.500
Ni1 Ni 0.000 0.000 0.500
O1 O 0.140 0.952 0.283
O2 O 0.145 0.305 0.591
O3 O 0.328 0.088 0.707
F1 F 0.067 0.726 0.817
F2 F 0.327 0.681 0.477
F3 F 0.367 0.193 0.109
```

[12]
# Mn2NiBi3O9

A geometry-optimized Mn2NiBi3O9 structure (PBE with a Hubbard U, the Materials Project database).

The structure in CIF format:
```
data_Mn2NiBi3O9
_chemical_formula_sum 'Mn8 Ni4 Bi12 O36'
_symmetry_space_group_name_H-M 'C 1 2/c 1'
_symmetry_Int_Tables_number 15
_cell_length_a 9.525
_cell_length_b 5.642
_cell_length_c 13.472
_cell_angle_alpha 90.00
_cell_angle_beta 90.06
_cell_angle_gamma 90.00
loop_
_symmetry_equiv_pos_as_xyz
'x,y,z'
'-x,-y,-z'
'-x,y,-z+1/2'
'x,-y,z+1/2'
'x+1/2,y+1/2,z'
'-x+1/2,-y+1/2,-z'
'-x+1/2,y+1/2,-z+1/2'
'x+1/2,-y+1/2,z+1/2'
loop_
_atom_site_label
_atom_site_type_symbol
_atom_site_fract_x
_atom_site_fract_y
_atom_site_fract_z
Mn1 Mn 0.165 0.003 0.167
Ni1 Ni 0.000 0.500 0.000
Bi1 Bi 0.000 0.474 0.250
Bi2 Bi 0.171 0.026 0.421
O1 O 0.000 0.093 0.750
O2 O 0.043 0.248 0.104
O3 O 0.121 0.248 0.566
O4 O 0.177 0.410 0.914
O5 O 0.213 0.251 0.269
```

| no. | final energy (eV per cell) | volume (Å³/atom) | magnetization (μB/atom) |
| --- | --- | --- | --- |
| 1 | -321.5 | 10.46 | 0.786 |
| 2 | -202.7 | 13.48 | 0.286 |
| 3 | -166.4 | 13.14 | 0.000 |
| 4 | -99.3 | 9.17 | 0.625 |
| 5 | -136.3 | 13.80 | 0.333 |
| 6 | -177.2 | 15.66 | 0.364 |
| 7 | -134.8 | 11.27 | 0.632 |
| 8 | -302.6 | 11.62 | 0.905 |
| 9 | -205.8 | 9.10 | 0.062 |
| 10 | -94.3 | 16.10 | 1.000 |
| 11 | -113.6 | 14.79 | 0.125 |
| 12 | -371.6 | 12.07 | 0.600 |